[1]
# NaUTe6O16, relaxed, DFT GGA-PBE
# ΔE_f (kJ per mole of atoms): -179
# Symmetry: No. 205
data_NaUTe6O16
_chemical_formula_sum 'Na4 U4 Te24 O64'
_cell_length_a 11.348
_cell_length_b 11.348
_cell_length_c 11.348
_cell_angle_alpha 90.00
_cell_angle_beta 90.00
_cell_angle_gamma 90.00
_symmetry_space_group_name_H-M 'P 1'
_symmetry_Int_Tables_number 1
loop_
_symmetry_equiv_pos_as_xyz
'x,y,z'
loop_
_atom_site_label
_atom_site_fract_x
_atom_site_fract_y
_atom_site_fract_z
Na1 0.000 0.000 0.000
Na2 0.000 0.500 0.500
Na3 0.500 0.000 0.500
Na4 0.500 0.500 0.000
U1 0.000 0.000 0.500
U2 0.000 0.500 0.000
U3 0.500 0.000 0.000
U4 0.500 0.500 0.500
Te1 0.029 0.240 0.784
Te2 0.029 0.260 0.284
Te3 0.216 0.529 0.260
Te4 0.216 0.971 0.760
Te5 0.240 0.716 0.529
Te6 0.240 0.784 0.029
Te7 0.260 0.216 0.529
Te8 0.260 0.284 0.029
Te9 0.284 0.029 0.260
Te10 0.284 0.471 0.760
Te11 0.471 0.740 0.784
Te12 0.471 0.760 0.284
Te13 0.529 0.240 0.716
Te14 0.529 0.260 0.216
Te15 0.716 0.529 0.240
Te16 0.716 0.971 0.740
Te17 0.740 0.716 0.971
Te18 0.740 0.784 0.471
Te19 0.760 0.216 0.971
Te20 0.760 0.284 0.471
Te21 0.784 0.029 0.240
Te22 0.784 0.471 0.740
Te23 0.971 0.740 0.716
Te24 0.971 0.760 0.216
O1 0.080 0.591 0.177
O2 0.080 0.909 0.677
O3 0.091 0.177 0.420
O4 0.091 0.323 0.920
O5 0.094 0.594 0.906
O6 0.094 0.906 0.406
O7 0.101 0.662 0.618
O8 0.101 0.838 0.118
O9 0.118 0.101 0.838
O10 0.118 0.399 0.338
O11 0.162 0.618 0.399
O12 0.162 0.882 0.899
O13 0.177 0.080 0.591
O14 0.177 0.420 0.091
O15 0.184 0.184 0.184
O16 0.184 0.316 0.684
O17 0.316 0.684 0.184
O18 0.316 0.816 0.684
O19 0.323 0.580 0.591
O20 0.323 0.920 0.091
O21 0.338 0.118 0.399
O22 0.338 0.382 0.899
O23 0.382 0.601 0.838
O24 0.382 0.899 0.338
O25 0.399 0.162 0.618
O26 0.399 0.338 0.118
O27 0.406 0.094 0.906
O28 0.406 0.406 0.406
O29 0.409 0.677 0.420
O30 0.409 0.823 0.920
O31 0.420 0.091 0.177
O32 0.420 0.409 0.677
O33 0.580 0.591 0.323
O34 0.580 0.909 0.823
O35 0.591 0.177 0.080
O36 0.591 0.323 0.580
O37 0.594 0.594 0.594
O38 0.594 0.906 0.094
O39 0.601 0.662 0.882
O40 0.601 0.838 0.382
O41 0.618 0.101 0.662
O42 0.618 0.399 0.162
O43 0.662 0.618 0.101
O44 0.662 0.882 0.601
O45 0.677 0.080 0.909
O46 0.677 0.420 0.409
O47 0.684 0.184 0.316
O48 0.684 0.316 0.816
O49 0.816 0.684 0.316
O50 0.816 0.816 0.816
O51 0.823 0.580 0.909
O52 0.823 0.920 0.409
O53 0.838 0.118 0.101
O54 0.838 0.382 0.601
O55 0.882 0.601 0.662
O56 0.882 0.899 0.162
O57 0.899 0.162 0.882
O58 0.899 0.338 0.382
O59 0.906 0.094 0.594
O60 0.906 0.406 0.094
O61 0.909 0.677 0.080
O62 0.909 0.823 0.580
O63 0.920 0.091 0.323
O64 0.920 0.409 0.823

***

[2]
# Sc3Si3Ni, relaxed, DFT GGA-PBE
# ΔE_f (kJ per mole of atoms): -83
# Symmetry: No. 12
data_Sc3Si3Ni
_chemical_formula_sum 'Sc6 Si6 Ni2'
_cell_length_a 5.310
_cell_length_b 5.310
_cell_length_c 12.825
_cell_angle_alpha 108.70
_cell_angle_beta 108.70
_cell_angle_gamma 44.10
_symmetry_space_group_name_H-M 'P 1'
_symmetry_Int_Tables_number 1
loop_
_symmetry_equiv_pos_as_xyz
'x,y,z'
loop_
_atom_site_label
_atom_site_fract_x
_atom_site_fract_y
_atom_site_fract_z
Sc1 0.025 0.025 0.379
Sc2 0.101 0.101 0.921
Sc3 0.243 0.243 0.226
Sc4 0.757 0.757 0.774
Sc5 0.899 0.899 0.079
Sc6 0.975 0.975 0.621
Si1 0.367 0.367 0.454
Si2 0.382 0.382 0.924
Si3 0.461 0.461 0.763
Si4 0.539 0.539 0.237
Si5 0.618 0.618 0.076
Si6 0.633 0.633 0.546
Ni1 0.257 0.257 0.596
Ni2 0.743 0.743 0.404

***

[3]
# NdPO4, relaxed, DFT GGA-PBE
# ΔE_f (kJ per mole of atoms): -333
# Symmetry: No. 180
data_NdPO4
_chemical_formula_sum 'Nd3 P3 O12'
_cell_length_a 7.167
_cell_length_b 7.167
_cell_length_c 6.402
_cell_angle_alpha 90.00
_cell_angle_beta 90.00
_cell_angle_gamma 120.00
_symmetry_space_group_name_H-M 'P 1'
_symmetry_Int_Tables_number 1
loop_
_symmetry_equiv_pos_as_xyz
'x,y,z'
loop_
_atom_site_label
_atom_site_fract_x
_atom_site_fract_y
_atom_site_fract_z
Nd1 0.000 0.500 0.167
Nd2 0.500 0.000 0.500
Nd3 0.500 0.500 0.833
P1 0.000 0.500 0.667
P2 0.500 0.000 0.000
P3 0.500 0.500 0.333
O1 0.137 0.446 0.816
O2 0.137 0.691 0.518
O3 0.309 0.446 0.184
O4 0.309 0.863 0.149
O5 0.446 0.137 0.851
O6 0.446 0.309 0.482
O7 0.554 0.691 0.482
O8 0.554 0.863 0.851
O9 0.691 0.137 0.149
O10 0.691 0.554 0.184
O11 0.863 0.309 0.518
O12 0.863 0.554 0.816

***

[4]
# LaAu3, relaxed, DFT GGA-PBE
# ΔE_f (kJ per mole of atoms): -64
# Symmetry: No. 225
data_LaAu3
_chemical_formula_sum 'La1 Au3'
_cell_length_a 5.058
_cell_length_b 5.058
_cell_length_c 5.058
_cell_angle_alpha 60.00
_cell_angle_beta 60.00
_cell_angle_gamma 60.00
_symmetry_space_group_name_H-M 'P 1'
_symmetry_Int_Tables_number 1
loop_
_symmetry_equiv_pos_as_xyz
'x,y,z'
loop_
_atom_site_label
_atom_site_fract_x
_atom_site_fract_y
_atom_site_fract_z
La1 0.000 0.000 0.000
Au1 0.250 0.250 0.250
Au2 0.500 0.500 0.500
Au3 0.750 0.750 0.750

***

[5]
# CuH6C4N8, relaxed, DFT GGA-PBE
# ΔE_f (kJ per mole of atoms): -8
# Symmetry: No. 14
data_CuH6C4N8
_chemical_formula_sum 'Cu2 H12 C8 N16'
_cell_length_a 7.700
_cell_length_b 9.632
_cell_length_c 7.463
_cell_angle_alpha 90.00
_cell_angle_beta 114.40
_cell_angle_gamma 90.00
_symmetry_space_group_name_H-M 'P 1'
_symmetry_Int_Tables_number 1
loop_
_symmetry_equiv_pos_as_xyz
'x,y,z'
loop_
_atom_site_label
_atom_site_fract_x
_atom_site_fract_y
_atom_site_fract_z
Cu1 0.000 0.000 0.000
Cu2 0.000 0.500 0.500
H1 0.277 0.080 0.914
H2 0.277 0.420 0.414
H3 0.282 0.184 0.093
H4 0.282 0.316 0.593
H5 0.365 0.022 0.143
H6 0.365 0.478 0.643
H7 0.635 0.522 0.357
H8 0.635 0.978 0.857
H9 0.718 0.684 0.407
H10 0.718 0.816 0.907
H11 0.723 0.580 0.586
H12 0.723 0.920 0.086
C1 0.123 0.710 0.918
C2 0.123 0.790 0.418
C3 0.257 0.005 0.526
C4 0.257 0.495 0.026
C5 0.743 0.505 0.974
C6 0.743 0.995 0.474
C7 0.877 0.210 0.582
C8 0.877 0.290 0.082
N1 0.080 0.673 0.422
N2 0.080 0.827 0.922
N3 0.161 0.583 0.889
N4 0.161 0.917 0.389
N5 0.260 0.083 0.043
N6 0.260 0.417 0.543
N7 0.341 0.093 0.638
N8 0.341 0.407 0.138
N9 0.659 0.593 0.862
N10 0.659 0.907 0.362
N11 0.740 0.583 0.457
N12 0.740 0.917 0.957
N13 0.839 0.083 0.611
N14 0.839 0.417 0.111
N15 0.920 0.173 0.078
N16 0.920 0.327 0.578

***

[6]
# Ce2ThS5, relaxed, DFT GGA-PBE
# ΔE_f (kJ per mole of atoms): -225
# Symmetry: No. 62
data_Ce2ThS5
_chemical_formula_sum 'Ce8 Th4 S20'
_cell_length_a 12.071
_cell_length_b 8.250
_cell_length_c 7.551
_cell_angle_alpha 90.00
_cell_angle_beta 90.00
_cell_angle_gamma 90.00
_symmetry_space_group_name_H-M 'P 1'
_symmetry_Int_Tables_number 1
loop_
_symmetry_equiv_pos_as_xyz
'x,y,z'
loop_
_atom_site_label
_atom_site_fract_x
_atom_site_fract_y
_atom_site_fract_z
Ce1 0.178 0.001 0.021
Ce2 0.178 0.499 0.021
Ce3 0.322 0.501 0.521
Ce4 0.322 0.999 0.521
Ce5 0.678 0.001 0.479
Ce6 0.678 0.499 0.479
Ce7 0.822 0.501 0.979
Ce8 0.822 0.999 0.979
Th1 0.009 0.250 0.576
Th2 0.491 0.750 0.076
Th3 0.509 0.250 0.924
Th4 0.991 0.750 0.424
S1 0.001 0.250 0.959
S2 0.099 0.543 0.665
S3 0.099 0.957 0.665
S4 0.188 0.250 0.328
S5 0.217 0.750 0.301
S6 0.283 0.250 0.801
S7 0.312 0.750 0.828
S8 0.401 0.043 0.165
S9 0.401 0.457 0.165
S10 0.499 0.750 0.459
S11 0.501 0.250 0.541
S12 0.599 0.543 0.835
S13 0.599 0.957 0.835
S14 0.688 0.250 0.172
S15 0.717 0.750 0.199
S16 0.783 0.250 0.699
S17 0.812 0.750 0.672
S18 0.901 0.043 0.335
S19 0.901 0.457 0.335
S20 0.999 0.750 0.041

***

[7]
# Pr6RuBr10, relaxed, DFT GGA-PBE
# ΔE_f (kJ per mole of atoms): -185
# Symmetry: No. 2
data_Pr6RuBr10
_chemical_formula_sum 'Pr6 Ru1 Br10'
_cell_length_a 7.744
_cell_length_b 9.459
_cell_length_c 9.799
_cell_angle_alpha 109.10
_cell_angle_beta 96.97
_cell_angle_gamma 106.75
_symmetry_space_group_name_H-M 'P 1'
_symmetry_Int_Tables_number 1
loop_
_symmetry_equiv_pos_as_xyz
'x,y,z'
loop_
_atom_site_label
_atom_site_fract_x
_atom_site_fract_y
_atom_site_fract_z
Pr1 0.026 0.213 0.411
Pr2 0.133 0.551 0.250
Pr3 0.376 0.651 0.691
Pr4 0.624 0.349 0.309
Pr5 0.867 0.449 0.750
Pr6 0.974 0.787 0.589
Ru1 0.000 0.500 0.500
Br1 0.090 0.869 0.332
Br2 0.194 0.239 0.150
Br3 0.253 0.583 0.951
Br4 0.360 0.968 0.775
Br5 0.446 0.326 0.579
Br6 0.554 0.674 0.421
Br7 0.640 0.032 0.225
Br8 0.747 0.417 0.049
Br9 0.806 0.761 0.850
Br10 0.910 0.131 0.668

***

[8]
# Ho2CuOs, relaxed, DFT GGA-PBE
# ΔE_f (kJ per mole of atoms): -28
# Symmetry: No. 225
data_Ho2CuOs
_chemical_formula_sum 'Ho2 Cu1 Os1'
_cell_length_a 4.827
_cell_length_b 4.827
_cell_length_c 4.827
_cell_angle_alpha 60.00
_cell_angle_beta 60.00
_cell_angle_gamma 60.00
_symmetry_space_group_name_H-M 'P 1'
_symmetry_Int_Tables_number 1
loop_
_symmetry_equiv_pos_as_xyz
'x,y,z'
loop_
_atom_site_label
_atom_site_fract_x
_atom_site_fract_y
_atom_site_fract_z
Ho1 0.250 0.250 0.250
Ho2 0.750 0.750 0.750
Cu1 0.000 0.000 0.000
Os1 0.500 0.500 0.500

***

[9]
# NbTlB2O6, relaxed, DFT GGA-PBE
# ΔE_f (kJ per mole of atoms): -259
# Symmetry: No. 33
data_NbTlB2O6
_chemical_formula_sum 'Nb4 Tl4 B8 O24'
_cell_length_a 8.023
_cell_length_b 7.499
_cell_length_c 9.586
_cell_angle_alpha 90.00
_cell_angle_beta 90.00
_cell_angle_gamma 90.00
_symmetry_space_group_name_H-M 'P 1'
_symmetry_Int_Tables_number 1
loop_
_symmetry_equiv_pos_as_xyz
'x,y,z'
loop_
_atom_site_label
_atom_site_fract_x
_atom_site_fract_y
_atom_site_fract_z
Nb1 0.162 0.241 0.000
Nb2 0.338 0.741 0.500
Nb3 0.662 0.259 0.000
Nb4 0.838 0.759 0.500
Tl1 0.003 0.741 0.886
Tl2 0.497 0.241 0.386
Tl3 0.503 0.759 0.886
Tl4 0.997 0.259 0.386
B1 0.214 0.581 0.213
B2 0.238 0.410 0.711
B3 0.262 0.910 0.211
B4 0.286 0.081 0.713
B5 0.714 0.919 0.213
B6 0.738 0.090 0.711
B7 0.762 0.590 0.211
B8 0.786 0.419 0.713
O1 0.060 0.806 0.499
O2 0.152 0.442 0.136
O3 0.160 0.414 0.837
O4 0.214 0.749 0.147
O5 0.228 0.064 0.142
O6 0.232 0.059 0.847
O7 0.268 0.559 0.347
O8 0.272 0.564 0.642
O9 0.286 0.249 0.647
O10 0.340 0.914 0.337
O11 0.348 0.942 0.636
O12 0.440 0.306 0.999
O13 0.560 0.694 0.499
O14 0.652 0.058 0.136
O15 0.660 0.086 0.837
O16 0.714 0.751 0.147
O17 0.728 0.436 0.142
O18 0.732 0.441 0.847
O19 0.768 0.941 0.347
O20 0.772 0.936 0.642
O21 0.786 0.251 0.647
O22 0.840 0.586 0.337
O23 0.848 0.558 0.636
O24 0.940 0.194 0.999

***

[10]
# BaAsAu, relaxed, DFT GGA-PBE
# ΔE_f (kJ per mole of atoms): -90
# Symmetry: No. 194
data_BaAsAu
_chemical_formula_sum 'Ba2 As2 Au2'
_cell_length_a 4.625
_cell_length_b 4.625
_cell_length_c 9.218
_cell_angle_alpha 90.00
_cell_angle_beta 90.00
_cell_angle_gamma 120.00
_symmetry_space_group_name_H-M 'P 1'
_symmetry_Int_Tables_number 1
loop_
_symmetry_equiv_pos_as_xyz
'x,y,z'
loop_
_atom_site_label
_atom_site_fract_x
_atom_site_fract_y
_atom_site_fract_z
Ba1 0.000 0.000 0.000
Ba2 0.000 0.000 0.500
As1 0.333 0.667 0.250
As2 0.667 0.333 0.750
Au1 0.333 0.667 0.750
Au2 0.667 0.333 0.250

***

[11]
# SnTe, relaxed, DFT GGA-PBE
# ΔE_f (kJ per mole of atoms): -48
# Symmetry: No. 225
data_SnTe
_chemical_formula_sum 'Sn1 Te1'
_cell_length_a 4.538
_cell_length_b 4.538
_cell_length_c 4.538
_cell_angle_alpha 60.00
_cell_angle_beta 60.00
_cell_angle_gamma 60.00
_symmetry_space_group_name_H-M 'P 1'
_symmetry_Int_Tables_number 1
loop_
_symmetry_equiv_pos_as_xyz
'x,y,z'
loop_
_atom_site_label
_atom_site_fract_x
_atom_site_fract_y
_atom_site_fract_z
Sn1 0.000 0.000 0.000
Te1 0.500 0.500 0.500

***

[12]
# RbNiN, relaxed, DFT GGA-PBE
# ΔE_f (kJ per mole of atoms): -1
# Symmetry: No. 187
data_RbNiN
_chemical_formula_sum 'Rb1 Ni1 N1'
_cell_length_a 5.237
_cell_length_b 5.237
_cell_length_c 3.422
_cell_angle_alpha 90.00
_cell_angle_beta 90.00
_cell_angle_gamma 120.00
_symmetry_space_group_name_H-M 'P 1'
_symmetry_Int_Tables_number 1
loop_
_symmetry_equiv_pos_as_xyz
'x,y,z'
loop_
_atom_site_label
_atom_site_fract_x
_atom_site_fract_y
_atom_site_fract_z
Rb1 0.000 0.000 0.000
Ni1 0.667 0.333 0.500
N1 0.667 0.333 0.000